# Cs2MgMnV2Br2O6

A geometry-optimized Cs2MgMnV2Br2O6 structure (PBE+U, Materials Project).

Computed properties:
crystal system = monoclinic
SG = Cm, No. 8
DFT formation energy = -2033.2 meV per atom

Cell lengths 9.353, 9.353, 6.076 Å; angles 90.72, 90.72, 36.62 degrees
Element x y z (fractional)
Cs (0.000, 0.000, 0.000)
Cs (0.242, 0.242, 0.973)
Mg (0.430, 0.430, 0.818)
Mn (0.630, 0.630, 0.506)
V (0.429, 0.429, 0.412)
V (0.832, 0.832, 0.492)
Br (0.121, 0.121, 0.496)
Br (0.616, 0.616, 0.057)
O (0.159, 0.610, 0.600)
O (0.415, 0.415, 0.124)
O (0.515, 0.515, 0.569)
O (0.610, 0.159, 0.600)
O (0.738, 0.738, 0.588)
O (0.851, 0.851, 0.219)

***

# CsMnBr3O2

A geometry-optimized CsMnBr3O2 structure (PBE+U, Materials Project).

Computed properties:
crystal system = orthorhombic
SG = Pcca, No. 54
DFT formation energy = -936.4 meV per atom

Cell lengths 8.969, 7.382, 13.360 Å; angles 90.00, 90.00, 90.00 degrees
Element x y z (fractional)
Cs (0.250, 0.000, 0.127)
Cs (0.250, 0.000, 0.627)
Cs (0.750, 0.000, 0.373)
Cs (0.750, 0.000, 0.873)
Mn (0.000, 0.467, 0.250)
Mn (0.000, 0.533, 0.750)
Mn (0.500, 0.467, 0.750)
Mn (0.500, 0.533, 0.250)
Br (0.115, 0.250, 0.369)
Br (0.115, 0.750, 0.869)
Br (0.250, 0.500, 0.135)
Br (0.250, 0.500, 0.635)
Br (0.385, 0.250, 0.869)
Br (0.385, 0.750, 0.369)
Br (0.615, 0.250, 0.631)
Br (0.615, 0.750, 0.131)
Br (0.750, 0.500, 0.365)
Br (0.750, 0.500, 0.865)
Br (0.885, 0.250, 0.131)
Br (0.885, 0.750, 0.631)
O (0.033, 0.265, 0.794)
O (0.033, 0.735, 0.294)
O (0.467, 0.265, 0.294)
O (0.467, 0.735, 0.794)
O (0.533, 0.265, 0.206)
O (0.533, 0.735, 0.706)
O (0.967, 0.265, 0.706)
O (0.967, 0.735, 0.206)

***

# Cs3Mo2BrO7

A geometry-optimized Cs3Mo2BrO7 structure (PBE+U, Materials Project).

Computed properties:
crystal system = hexagonal
SG = P6_3/mmc, No. 194
DFT formation energy = -2088.5 meV per atom

Cell lengths 6.656, 6.656, 16.945 Å; angles 90.00, 90.00, 120.00 degrees
Element x y z (fractional)
Cs (0.333, 0.667, 0.046)
Cs (0.333, 0.667, 0.454)
Cs (0.333, 0.667, 0.750)
Cs (0.667, 0.333, 0.250)
Cs (0.667, 0.333, 0.546)
Cs (0.667, 0.333, 0.954)
Mo (0.000, 0.000, 0.137)
Mo (0.000, 0.000, 0.363)
Mo (0.000, 0.000, 0.637)
Mo (0.000, 0.000, 0.863)
Br (0.333, 0.667, 0.250)
Br (0.667, 0.333, 0.750)
O (0.000, 0.000, 0.250)
O (0.000, 0.000, 0.750)
O (0.145, 0.290, 0.600)
O (0.145, 0.290, 0.900)
O (0.145, 0.855, 0.600)
O (0.145, 0.855, 0.900)
O (0.290, 0.145, 0.100)
O (0.290, 0.145, 0.400)
O (0.710, 0.855, 0.600)
O (0.710, 0.855, 0.900)
O (0.855, 0.145, 0.100)
O (0.855, 0.145, 0.400)
O (0.855, 0.710, 0.100)
O (0.855, 0.710, 0.400)

***

# Cs2VBr5O4

A geometry-optimized Cs2VBr5O4 structure (PBE+U, Materials Project).

Computed properties:
crystal system = monoclinic
SG = C2/m, No. 12
DFT formation energy = -722.0 meV per atom

Cell lengths 9.682, 9.682, 7.245 Å; angles 109.22, 109.22, 35.56 degrees
Element x y z (fractional)
Cs (0.203, 0.203, 0.231)
Cs (0.797, 0.797, 0.769)
V (0.500, 0.500, 0.500)
Br (0.000, 0.000, 0.000)
Br (0.170, 0.170, 0.708)
Br (0.395, 0.395, 0.663)
Br (0.605, 0.605, 0.337)
Br (0.830, 0.830, 0.292)
O (0.234, 0.668, 0.319)
O (0.332, 0.766, 0.681)
O (0.668, 0.234, 0.319)
O (0.766, 0.332, 0.681)

***

# DyWBrO4

A geometry-optimized DyWBrO4 structure (PBE+U, Materials Project).

Computed properties:
crystal system = triclinic
SG = P-1, No. 2
DFT formation energy = -2591.3 meV per atom

Cell lengths 6.994, 7.321, 11.084 Å; angles 104.39, 107.88, 93.82 degrees
Element x y z (fractional)
Dy (0.117, 0.343, 0.232)
Dy (0.156, 0.116, 0.731)
Dy (0.844, 0.884, 0.269)
Dy (0.883, 0.657, 0.768)
W (0.229, 0.814, 0.133)
W (0.269, 0.590, 0.627)
W (0.731, 0.410, 0.373)
W (0.771, 0.186, 0.867)
Br (0.237, 0.999, 0.481)
Br (0.308, 0.281, 0.019)
Br (0.692, 0.719, 0.981)
Br (0.763, 0.001, 0.519)
O (0.102, 0.017, 0.183)
O (0.130, 0.640, 0.200)
O (0.155, 0.792, 0.703)
O (0.159, 0.730, 0.956)
O (0.165, 0.501, 0.448)
O (0.219, 0.406, 0.700)
O (0.461, 0.350, 0.329)
O (0.498, 0.125, 0.794)
O (0.502, 0.875, 0.206)
O (0.539, 0.650, 0.671)
O (0.781, 0.594, 0.300)
O (0.835, 0.499, 0.552)
O (0.841, 0.270, 0.044)
O (0.845, 0.208, 0.297)
O (0.870, 0.360, 0.800)
O (0.898, 0.983, 0.817)

***

# ErMoBrO4

A geometry-optimized ErMoBrO4 structure (PBE+U, Materials Project).

Computed properties:
crystal system = triclinic
SG = P-1, No. 2
DFT formation energy = -2516.9 meV per atom

Cell lengths 6.925, 7.245, 10.929 Å; angles 104.37, 107.57, 94.02 degrees
Element x y z (fractional)
Er (0.114, 0.341, 0.232)
Er (0.152, 0.115, 0.731)
Er (0.848, 0.885, 0.269)
Er (0.886, 0.659, 0.768)
Mo (0.231, 0.813, 0.134)
Mo (0.273, 0.591, 0.628)
Mo (0.727, 0.409, 0.372)
Mo (0.769, 0.187, 0.866)
Br (0.239, 0.003, 0.481)
Br (0.309, 0.283, 0.018)
Br (0.691, 0.717, 0.982)
Br (0.761, 0.997, 0.519)
O (0.101, 0.017, 0.183)
O (0.130, 0.640, 0.201)
O (0.154, 0.792, 0.703)
O (0.164, 0.729, 0.957)
O (0.170, 0.505, 0.449)
O (0.222, 0.407, 0.700)
O (0.457, 0.346, 0.328)
O (0.498, 0.127, 0.793)
O (0.502, 0.873, 0.207)
O (0.543, 0.654, 0.672)
O (0.778, 0.593, 0.300)
O (0.830, 0.495, 0.551)
O (0.836, 0.271, 0.043)
O (0.846, 0.208, 0.297)
O (0.870, 0.360, 0.799)
O (0.899, 0.983, 0.817)

***

# FeH8Br2O4

A geometry-optimized FeH8Br2O4 structure (PBE+U, Materials Project).

Computed properties:
crystal system = monoclinic
SG = P2_1/c, No. 14
DFT formation energy = -1151.6 meV per atom

Cell lengths 6.139, 7.653, 8.794 Å; angles 90.00, 111.22, 90.00 degrees
Element x y z (fractional)
Fe (0.000, 0.000, 0.000)
Fe (0.000, 0.500, 0.500)
H (0.091, 0.074, 0.712)
H (0.091, 0.426, 0.212)
H (0.109, 0.068, 0.337)
H (0.109, 0.432, 0.837)
H (0.367, 0.706, 0.495)
H (0.367, 0.794, 0.995)
H (0.377, 0.701, 0.675)
H (0.377, 0.799, 0.175)
H (0.623, 0.201, 0.825)
H (0.623, 0.299, 0.325)
H (0.633, 0.206, 0.005)
H (0.633, 0.294, 0.505)
H (0.891, 0.568, 0.163)
H (0.891, 0.932, 0.663)
H (0.909, 0.574, 0.788)
H (0.909, 0.926, 0.288)
Br (0.312, 0.230, 0.579)
Br (0.312, 0.270, 0.079)
Br (0.688, 0.730, 0.921)
Br (0.688, 0.770, 0.421)
O (0.009, 0.505, 0.745)
O (0.009, 0.995, 0.245)
O (0.268, 0.690, 0.561)
O (0.268, 0.810, 0.061)
O (0.732, 0.190, 0.939)
O (0.732, 0.310, 0.439)
O (0.991, 0.005, 0.755)
O (0.991, 0.495, 0.255)

***

# Fe3Br8O16

A geometry-optimized Fe3Br8O16 structure (PBE+U, Materials Project).

Computed properties:
crystal system = triclinic
SG = P-1, No. 2
DFT formation energy = -325.6 meV per atom

Cell lengths 6.713, 7.618, 9.751 Å; angles 88.60, 71.02, 72.88 degrees
Element x y z (fractional)
Fe (0.000, 0.000, 0.000)
Fe (0.000, 0.500, 0.500)
Fe (0.500, 0.000, 0.500)
Br (0.083, 0.120, 0.323)
Br (0.140, 0.324, 0.780)
Br (0.412, 0.706, 0.099)
Br (0.445, 0.668, 0.664)
Br (0.555, 0.332, 0.336)
Br (0.588, 0.294, 0.901)
Br (0.860, 0.676, 0.220)
Br (0.917, 0.880, 0.677)
O (0.047, 0.628, 0.318)
O (0.106, 0.850, 0.820)
O (0.232, 0.085, 0.465)
O (0.290, 0.913, 0.037)
O (0.305, 0.473, 0.477)
O (0.310, 0.339, 0.972)
O (0.395, 0.163, 0.682)
O (0.457, 0.360, 0.195)
O (0.543, 0.640, 0.805)
O (0.605, 0.837, 0.318)
O (0.690, 0.661, 0.028)
O (0.695, 0.527, 0.523)
O (0.710, 0.087, 0.963)
O (0.768, 0.915, 0.535)
O (0.894, 0.150, 0.180)
O (0.953, 0.372, 0.682)

***

# Fe7Sb3P3Br3O18

A geometry-optimized Fe7Sb3P3Br3O18 structure (PBE+U, Materials Project).

Computed properties:
crystal system = orthorhombic
SG = Pnma, No. 62
DFT formation energy = -1915.9 meV per atom

Cell lengths 5.257, 15.240, 26.220 Å; angles 90.00, 90.00, 90.00 degrees
Element x y z (fractional)
Fe (0.086, 0.250, 0.250)
Fe (0.191, 0.645, 0.572)
Fe (0.191, 0.855, 0.572)
Fe (0.193, 0.537, 0.892)
Fe (0.193, 0.963, 0.892)
Fe (0.198, 0.068, 0.785)
Fe (0.198, 0.432, 0.785)
Fe (0.302, 0.568, 0.285)
Fe (0.302, 0.932, 0.285)
Fe (0.307, 0.037, 0.392)
Fe (0.307, 0.463, 0.392)
Fe (0.309, 0.145, 0.072)
Fe (0.309, 0.355, 0.072)
Fe (0.414, 0.750, 0.750)
Fe (0.586, 0.250, 0.250)
Fe (0.691, 0.645, 0.928)
Fe (0.691, 0.855, 0.928)
Fe (0.693, 0.537, 0.608)
Fe (0.693, 0.963, 0.608)
Fe (0.698, 0.068, 0.715)
Fe (0.698, 0.432, 0.715)
Fe (0.802, 0.568, 0.215)
Fe (0.802, 0.932, 0.215)
Fe (0.807, 0.037, 0.108)
Fe (0.807, 0.463, 0.108)
Fe (0.809, 0.145, 0.428)
Fe (0.809, 0.355, 0.428)
Fe (0.914, 0.750, 0.750)
Sb (0.222, 0.250, 0.710)
Sb (0.250, 0.058, 0.520)
Sb (0.250, 0.442, 0.520)
Sb (0.250, 0.558, 0.020)
Sb (0.250, 0.942, 0.020)
Sb (0.278, 0.750, 0.210)
Sb (0.722, 0.250, 0.790)
Sb (0.750, 0.058, 0.980)
Sb (0.750, 0.442, 0.980)
Sb (0.750, 0.558, 0.480)
Sb (0.750, 0.942, 0.480)
Sb (0.778, 0.750, 0.290)
P (0.185, 0.750, 0.873)
P (0.187, 0.566, 0.688)
P (0.187, 0.934, 0.688)
P (0.313, 0.066, 0.188)
P (0.313, 0.434, 0.188)
P (0.315, 0.250, 0.373)
P (0.685, 0.750, 0.627)
P (0.687, 0.566, 0.812)
P (0.687, 0.934, 0.812)
P (0.813, 0.066, 0.312)
P (0.813, 0.434, 0.312)
P (0.815, 0.250, 0.127)
Br (0.122, 0.750, 0.494)
Br (0.136, 0.131, 0.878)
Br (0.136, 0.369, 0.878)
Br (0.364, 0.631, 0.378)
Br (0.364, 0.869, 0.378)
Br (0.378, 0.250, 0.994)
Br (0.622, 0.750, 0.006)
Br (0.636, 0.131, 0.622)
Br (0.636, 0.369, 0.622)
Br (0.864, 0.631, 0.122)
Br (0.864, 0.869, 0.122)
Br (0.878, 0.250, 0.506)
O (0.031, 0.665, 0.253)
O (0.031, 0.835, 0.253)
O (0.049, 0.055, 0.036)
O (0.049, 0.445, 0.036)
O (0.050, 0.029, 0.455)
O (0.050, 0.471, 0.455)
O (0.082, 0.028, 0.324)
O (0.082, 0.250, 0.102)
O (0.082, 0.472, 0.324)
O (0.163, 0.503, 0.220)
O (0.163, 0.997, 0.220)
O (0.164, 0.078, 0.138)
O (0.164, 0.168, 0.392)
O (0.164, 0.332, 0.392)
O (0.164, 0.422, 0.138)
O (0.164, 0.655, 0.718)
O (0.164, 0.750, 0.813)
O (0.164, 0.845, 0.718)
O (0.336, 0.155, 0.218)
O (0.336, 0.250, 0.313)
O (0.336, 0.345, 0.218)
O (0.336, 0.578, 0.638)
O (0.336, 0.668, 0.892)
O (0.336, 0.832, 0.892)
O (0.336, 0.922, 0.638)
O (0.337, 0.003, 0.720)
O (0.337, 0.497, 0.720)
O (0.418, 0.528, 0.824)
O (0.418, 0.750, 0.602)
O (0.418, 0.972, 0.824)
O (0.450, 0.529, 0.955)
O (0.450, 0.971, 0.955)
O (0.451, 0.555, 0.536)
O (0.451, 0.945, 0.536)
O (0.469, 0.165, 0.753)
O (0.469, 0.335, 0.753)
O (0.531, 0.665, 0.247)
O (0.531, 0.835, 0.247)
O (0.549, 0.055, 0.464)
O (0.549, 0.445, 0.464)
O (0.550, 0.029, 0.045)
O (0.550, 0.471, 0.045)
O (0.582, 0.028, 0.176)
O (0.582, 0.250, 0.398)
O (0.582, 0.472, 0.176)
O (0.663, 0.503, 0.280)
O (0.663, 0.997, 0.280)
O (0.664, 0.078, 0.362)
O (0.664, 0.168, 0.108)
O (0.664, 0.332, 0.108)
O (0.664, 0.422, 0.362)
O (0.664, 0.655, 0.782)
O (0.664, 0.750, 0.687)
O (0.664, 0.845, 0.782)
O (0.836, 0.155, 0.282)
O (0.836, 0.250, 0.187)
O (0.836, 0.345, 0.282)
O (0.836, 0.578, 0.862)
O (0.836, 0.668, 0.608)
O (0.836, 0.832, 0.608)
O (0.836, 0.922, 0.862)
O (0.837, 0.003, 0.780)
O (0.837, 0.497, 0.780)
O (0.918, 0.528, 0.676)
O (0.918, 0.750, 0.898)
O (0.918, 0.972, 0.676)
O (0.950, 0.529, 0.545)
O (0.950, 0.971, 0.545)
O (0.951, 0.555, 0.964)
O (0.951, 0.945, 0.964)
O (0.969, 0.165, 0.747)
O (0.969, 0.335, 0.747)

***

# Sr2FeBrO3

A geometry-optimized Sr2FeBrO3 structure (PBE+U, Materials Project).

Computed properties:
DFT formation energy = -2490.0 meV per atom

Cell lengths 5.621, 5.620, 16.102 Å; angles 79.94, 79.97, 89.98 degrees
Element x y z (fractional)
Sr (0.159, 0.409, 0.682)
Sr (0.659, 0.909, 0.682)
Sr (0.341, 0.091, 0.318)
Sr (0.841, 0.591, 0.318)
Sr (0.456, 0.206, 0.089)
Sr (0.956, 0.706, 0.089)
Sr (0.044, 0.294, 0.911)
Sr (0.544, 0.794, 0.911)
Fe (0.096, 0.846, 0.808)
Fe (0.404, 0.654, 0.192)
Fe (0.596, 0.346, 0.808)
Fe (0.904, 0.154, 0.192)
Br (0.296, 0.545, 0.409)
Br (0.796, 0.045, 0.409)
Br (0.204, 0.955, 0.591)
Br (0.704, 0.455, 0.591)
O (0.465, 0.715, 0.069)
O (0.965, 0.215, 0.069)
O (0.035, 0.785, 0.931)
O (0.535, 0.285, 0.931)
O (0.857, 0.607, 0.787)
O (0.357, 0.107, 0.787)
O (0.357, 0.607, 0.786)
O (0.857, 0.107, 0.786)
O (0.143, 0.893, 0.213)
O (0.643, 0.393, 0.214)
O (0.643, 0.893, 0.213)
O (0.143, 0.393, 0.213)

***

Q: Which of these has the highest DFT formation energy?
A: Fe3Br8O16